Model one:
Compound: Li2Ti3NbO8
Source: the Materials Project database
Functional: PBE-GGA
Structure: optimized geometry

extended XYZ file:
```
56
Lattice="8.5585 0.0000 0.0000 0.0000 8.5585 0.0000 0.0000 0.0000 8.5585" Properties=species:S:1:pos:R:3 pbc="T T T"
Li 4.2540 4.2540 4.2540
Li 6.4442 6.4442 6.4442
Li 6.3936 2.1144 2.1649
Li 0.0253 4.3045 8.5333
Li 8.5333 0.0253 4.3045
Li 2.1649 6.3936 2.1144
Li 2.1144 2.1649 6.3936
Li 4.3045 8.5333 0.0253
Ti 5.3360 5.3622 1.0698
Ti 5.3491 7.5018 3.1963
Ti 5.3622 1.0698 5.3360
Ti 7.4756 7.4887 1.0567
Ti 7.4887 1.0567 7.4756
Ti 7.5018 3.1963 5.3491
Ti 1.0567 7.4756 7.4887
Ti 1.0698 5.3360 5.3622
Ti 1.0829 3.2094 3.2226
Ti 3.1963 5.3491 7.5018
Ti 3.2094 3.2226 1.0829
Ti 3.2226 1.0829 3.2094
Nb 5.3491 3.2094 7.4887
Nb 7.4887 5.3491 3.2094
Nb 1.0698 1.0698 1.0698
Nb 3.2094 7.4887 5.3491
O 5.2150 5.3010 7.5996
O 5.2382 3.3435 1.0218
O 5.2375 0.9582 3.3211
O 5.3971 5.4832 3.0986
O 5.3010 7.5996 5.2150
O 5.4607 7.3771 1.1814
O 5.4600 1.1179 7.3546
O 5.4832 3.0986 5.3971
O 7.3546 5.4600 1.1179
O 7.3778 7.4407 3.0753
O 7.3771 1.1814 5.4607
O 7.5367 0.9589 0.9357
O 7.4407 3.0753 7.3778
O 7.6003 7.6003 7.6003
O 7.5996 5.2150 5.3010
O 7.6228 3.2575 3.3203
O 0.9357 7.5367 0.9589
O 0.9589 0.9357 7.5367
O 0.9582 3.3211 5.2375
O 1.1179 7.3546 5.4600
O 1.0218 5.2382 3.3435
O 1.1814 5.4607 7.3771
O 1.1807 3.1614 1.2039
O 1.2039 1.1807 3.1614
O 3.0753 7.3778 7.4407
O 3.0986 5.3971 5.4832
O 3.0978 3.0978 3.0978
O 3.2575 3.3203 7.6228
O 3.1614 1.2039 1.1807
O 3.3211 5.2375 0.9582
O 3.3203 7.6228 3.2575
O 3.3435 1.0218 5.2382
```

***

Model two:
Compound: Li2Ti3NbO8
Source: the Materials Project database
Functional: PBE-GGA
Structure: optimized geometry

extended XYZ file:
```
28
Lattice="-0.6471 0.0128 -5.9335 -4.7455 -0.8549 3.5177 -1.6045 9.7130 0.1960" Properties=species:S:1:pos:R:3 pbc="T T T"
Li -4.8208 8.1596 0.5434
Li -1.5946 9.6528 0.1947
Li -0.7923 4.7963 0.0968
Li -2.6523 3.5923 -2.7051
Ti -4.7117 1.3941 -0.9538
Ti -2.1754 6.8107 -1.2795
Ti -2.4924 6.8169 -4.1862
Ti -4.3947 1.3878 1.9529
Ti -2.0700 1.8066 0.2296
Ti -4.8171 6.3981 -2.4629
Nb -4.1633 4.1798 0.4631
Nb -3.5994 9.3255 -2.5894
O -5.0367 5.1023 2.0911
O -3.0236 2.8442 1.6759
O -3.5459 0.4421 0.3877
O -0.4985 3.0178 0.0609
O -1.3008 7.8743 0.1589
O -2.6169 5.5382 0.2973
O -5.4308 2.4683 0.5976
O -3.3125 2.8499 -0.9726
O -1.1451 0.8235 -1.3446
O -5.3666 5.1088 -0.9345
O -3.9682 7.7374 -1.2126
O -1.8500 8.1190 -2.7828
O -2.9820 5.5878 -2.6648
O -3.8948 0.3941 -2.5765
O -4.2571 7.7432 -3.8611
O -1.4750 0.8300 -4.3702
```

***

Least stable: model two

***

Model one:
Compound: Li3NbS4
Source: the Materials Project database
Functional: PBE-GGA
Structure: optimized geometry

extended XYZ file:
```
8
Lattice="6.1051 0.0000 0.0000 0.0000 6.1051 0.0000 0.0000 0.0000 6.1051" Properties=species:S:1:pos:R:3 pbc="T T T"
Li 0.0000 0.0000 3.0525
Li 0.0000 3.0525 0.0000
Li 3.0525 0.0000 0.0000
Nb 0.0000 0.0000 0.0000
S 1.3210 1.3210 1.3210
S 1.3210 4.7841 4.7841
S 4.7841 1.3210 4.7841
S 4.7841 4.7841 1.3210
```

Results
Largest piezoelectric modulus in C/m2: 0.005

***

Model two:
Compound: Li3NbS4
Source: the Materials Project database
Functional: PBE-GGA
Structure: optimized geometry

extended XYZ file:
```
32
Lattice="7.5580 0.0000 0.0000 0.0000 8.7819 0.0000 0.0000 0.0000 10.3076" Properties=species:S:1:pos:R:3 pbc="T T T"
Li 1.2184 6.6679 5.9171
Li 1.2184 6.6679 9.5444
Li 0.2019 7.9750 2.5769
Li 3.5771 3.5840 7.7307
Li 2.5606 2.2769 0.7632
Li 2.5606 2.2769 4.3906
Li 4.9975 6.5050 5.9171
Li 4.9975 6.5050 9.5444
Li 3.9809 5.1979 2.5769
Li 7.3561 0.8070 7.7307
Li 6.3396 2.1140 0.7632
Li 6.3396 2.1140 4.3906
Nb 0.9762 4.3521 2.5769
Nb 2.8028 8.7431 7.7307
Nb 4.7552 0.0388 2.5769
Nb 6.5818 4.4298 7.7307
S 6.5675 5.4384 2.5769
S 1.5399 0.4385 5.8577
S 1.5399 0.4385 9.6038
S 0.6425 2.0649 2.5769
S 3.1365 6.4559 7.7307
S 2.2391 4.8295 0.7039
S 2.2391 4.8295 4.4500
S 4.7695 1.0475 7.7307
S 2.7885 7.7345 2.5769
S 5.3189 3.9525 5.8577
S 5.3189 3.9525 9.6038
S 4.4215 2.3260 2.5769
S 6.9155 6.7170 7.7307
S 6.0181 8.3435 0.7039
S 6.0181 8.3435 4.4500
S 0.9905 3.3435 7.7307
```

***

Model three:
Compound: Li3NbS4
Source: the Materials Project database
Functional: PBE-GGA
Structure: optimized geometry

extended XYZ file:
```
64
Lattice="-11.5376 -10.9087 9.3671 -10.1782 2.3322 9.0699 -7.1763 -10.5673 -3.7539" Properties=species:S:1:pos:R:3 pbc="T T T"
Li -5.8086 -5.4360 4.6558
Li -20.3355 -14.9708 11.9412
Li -16.4032 -15.5633 6.4623
Li -20.2033 -15.1490 8.1049
Li -12.1011 -5.8181 5.0063
Li -6.3171 -7.5807 -0.5056
Li -7.9937 -7.6656 2.5069
Li -17.4107 -18.5712 5.2892
Li -8.7129 -8.3516 5.9678
Li -14.8020 -7.4400 11.3561
Li -12.5512 -9.1665 4.6079
Li -19.3720 -8.4831 11.8559
Li -15.9401 -8.8852 6.3010
Li -13.1124 -10.1849 8.2704
Li -12.2112 -9.4238 0.9531
Li -16.5712 -9.8714 9.9149
Li -12.3687 -12.4950 4.5259
Li -3.6713 -2.1680 2.8098
Li -11.7851 -0.4329 9.1824
Li -6.7561 -1.7667 4.6231
Li -8.9757 -1.6021 7.2576
Li -17.9781 -12.7801 8.8502
Li -23.3653 -13.4607 13.7594
Li -12.2715 -3.6804 8.3723
Nb -8.6826 -4.9282 6.4018
Nb -22.5251 -17.3820 10.9183
Nb -13.2159 -6.7772 8.0923
Nb -8.4681 -10.2415 -0.9550
Nb -19.8254 -9.1774 16.0550
Nb -15.1239 -12.6205 6.9755
Nb -20.2607 -11.5875 11.4911
Nb -5.1648 -4.9189 1.3568
S -17.6424 -15.4021 8.6908
S -15.7156 -16.9213 4.4159
S -8.3423 -6.0488 4.4330
S -22.8753 -15.4265 12.0665
S -15.6489 -4.7726 11.0832
S -12.0048 -5.9355 9.8307
S -14.2335 -4.9795 7.1148
S -20.5673 -17.1729 9.7215
S -11.7179 -7.8507 6.7094
S -17.1716 -7.2629 13.3686
S -10.7296 -8.2904 2.9035
S -14.3976 -7.1940 4.1464
S -14.8115 -8.2953 8.7362
S -18.8643 -20.0362 6.7678
S -17.8058 -7.3906 10.1653
S -10.4582 -10.7245 5.0043
S -15.0266 -9.9854 12.0518
S -13.9111 -10.4548 2.5506
S -10.0373 0.8968 7.9087
S -14.0581 -10.8588 5.9626
S -18.3497 -10.1777 7.8519
S -18.1194 -10.8732 11.8097
S -11.2364 -12.1034 1.6517
S -15.4095 -12.1042 9.2028
S -21.0062 -12.3538 13.5322
S -17.0829 -13.0500 5.8799
S -13.9357 -14.5650 6.9080
S -14.1899 -13.9360 2.9406
S -20.4404 -13.2995 9.9739
S -6.1132 -3.5187 2.9020
S -13.0929 -2.2609 10.3255
S -10.7508 -3.9709 6.3397
```

***

Least stable: model two

***

Model one:
Compound: Li3NbS4
Source: the Materials Project database
Functional: PBE-GGA
Structure: optimized geometry

extended XYZ file:
```
64
Lattice="-2.2429 -9.8082 -0.8215 2.5906 -1.5004 10.8398 -11.8667 2.4477 3.1748" Properties=species:S:1:pos:R:3 pbc="T T T"
Li -1.4376 -1.0340 0.7269
Li -7.9303 -2.2563 2.1094
Li -1.9962 -4.8830 1.3033
Li -9.0357 -8.4964 2.4856
Li -10.2710 -0.1146 4.4146
Li -4.5552 -2.2898 2.7475
Li -10.9746 -5.2607 5.7522
Li -5.2588 -7.4359 4.0851
Li -7.2860 -3.9562 5.5250
Li -0.2465 -0.3428 4.3427
Li -1.4975 -6.5529 4.7578
Li -7.9902 -7.7752 6.1403
Li -3.5287 -1.0857 7.0528
Li -10.0214 -2.3079 8.4353
Li -11.2724 -8.5181 8.8504
Li -4.2329 -4.9047 7.6682
Li -0.5443 -3.6001 7.4409
Li -6.2601 -1.4249 9.1080
Li -6.9637 -6.5710 10.4456
Li -1.2479 -8.7462 8.7785
Li -9.5227 -3.9778 11.8898
Li -2.4832 -0.3644 10.7076
Li -10.0813 -7.8268 12.4663
Li -3.5886 -6.6046 11.0837
Nb -2.9593 -7.9141 0.8303
Nb -8.5780 -5.3141 2.5329
Nb -1.0837 -3.4468 4.3968
Nb -6.7023 -0.8468 6.0995
Nb -10.4353 -5.4140 8.7963
Nb -4.8166 -8.0140 7.0936
Nb -8.5596 -0.9467 12.3629
Nb -2.9410 -3.5467 10.6602
S -4.0947 -3.6244 0.6010
S -9.2022 1.2112 2.4910
S -5.9995 -0.6231 1.5668
S -12.2496 -0.7844 3.0382
S -13.5199 -7.3165 4.3253
S -6.6136 -4.2857 3.0942
S -9.4787 -6.5218 4.2551
S -3.3120 -6.7251 2.7532
S -2.1798 -1.8272 3.2089
S -8.3465 -1.6239 4.7108
S -5.1325 0.4100 5.0099
S -12.0387 -2.6207 6.2410
S -5.9229 -6.2210 6.1686
S -12.1731 -6.3823 7.6400
S -9.0834 -4.4112 7.2695
S -3.9760 -9.2468 5.3796
S -2.4355 -4.4497 5.9236
S -7.5430 0.3859 7.8135
S 0.6541 -2.4785 5.5531
S -5.5960 -2.6399 7.0245
S 0.5198 -6.2401 6.9522
S -6.3865 -9.2709 8.1832
S -3.1724 -7.2369 8.4823
S -9.3391 -7.0336 9.9842
S -8.2069 -2.1357 10.4399
S -2.0402 -2.3390 8.9380
S 2.0009 -1.5443 8.8679
S -4.9053 -4.5751 10.0989
S 0.7306 -8.0764 10.1549
S -5.5195 -8.2377 11.6263
S -7.4242 -5.2364 12.5921
S -2.3168 -10.0720 10.7022
```

***

Model two:
Compound: Li3NbS4
Source: the Materials Project database
Functional: PBE-GGA
Structure: optimized geometry

extended XYZ file:
```
32
Lattice="-5.1767 5.1767 5.1767 5.1767 -5.1767 5.1767 5.1767 5.1767 -5.1767" Properties=species:S:1:pos:R:3 pbc="T T T"
Li 3.8191 -1.3483 1.3483
Li -1.3483 3.8191 1.3483
Li 1.3483 6.5343 1.3483
Li 1.3576 3.8284 3.8284
Li 1.3483 1.3483 6.5343
Li 1.3483 -1.3483 3.8191
Li 3.8284 3.8284 1.3576
Li -1.3483 1.3483 3.8191
Li 3.8191 1.3483 -1.3483
Li 3.8284 1.3576 3.8284
Li 1.3483 3.8191 -1.3483
Li 6.5343 1.3483 1.3483
Nb -3.7151 3.7151 3.7151
Nb 1.4616 1.4616 1.4616
Nb 3.7151 -3.7151 3.7151
Nb 3.7151 3.7151 -3.7151
S -1.3970 3.9304 3.9304
S -1.2463 1.2463 6.5737
S -1.1802 1.1802 1.1802
S 1.1802 -1.1802 1.1802
S 1.1802 1.1802 -1.1802
S 1.2463 1.2463 3.7797
S 1.2463 3.7797 1.2463
S 1.2463 6.5737 -1.2463
S 6.5737 1.2463 -1.2463
S 3.7797 1.2463 1.2463
S 3.9304 -1.3970 3.9304
S -1.2463 6.5737 1.2463
S 3.9304 3.9304 -1.3970
S 3.9965 3.9965 3.9965
S 1.2463 -1.2463 6.5737
S 6.5737 -1.2463 1.2463
```

***

Least stable: model one